1.
Computed, not measured: an optimized crystal structure of NaMgNiO2 at the PBE+U level of DFT.

## Properties
For the energy above the lowest structure with this stoichiometry, the calculation gives 0.291 eV per atom. For the formation energy, the calculation gives -1230 meV/atom. Its total moment is 1.76 Bohr magnetons per cell. The calculated density comes out at 2.50 g/cm³.

abc: 2.910 5.519 5.725
angles: 93.04 90.13 90.01
Space group P-1 (No. 2)
Symmetry-distinct sites (fractional):
Na  0.000  0.000  0.000
Mg  0.500  0.000  0.500
Ni  0.500  0.500  0.500
O  0.000  0.249  0.541


2.
Computed, not measured: an optimized crystal structure of SrCaNiP2O8 at the PBE+U level of DFT.

## Properties
For the energy above the lowest structure with this stoichiometry, the calculation gives 0.000 eV per atom. For the formation energy, the calculation gives -2910 meV/atom. Its total moment is 4.00 Bohr magnetons per cell. The calculated density comes out at 3.72 g/cm³.

abc: 5.720 6.928 9.448
angles: 109.41 101.90 98.52
Space group P-1 (No. 2)
Symmetry-distinct sites (fractional):
Sr  0.237  0.192  0.440
Ca  0.496  0.419  0.161
Ni  0.153  0.850  0.060
P  0.104  0.583  0.272
P  0.341  0.031  0.800
O  0.074  0.410  0.108
O  0.124  0.451  0.668
O  0.138  0.967  0.876
O  0.152  0.801  0.259
O  0.226  0.003  0.631
O  0.338  0.560  0.379
O  0.459  0.103  0.196
O  0.493  0.262  0.906


3.
Computed, not measured: an optimized crystal structure of Li4Ti2Cr3Co3O16 at the PBE+U level of DFT.

## Properties
For the energy above the lowest structure with this stoichiometry, the calculation gives 0.042 eV per atom. For the formation energy, the calculation gives -2203 meV/atom. Its total moment is 15.00 Bohr magnetons per cell. The calculated density comes out at 4.37 g/cm³.

abc: 5.750 5.779 9.382
angles: 89.12 89.03 60.35
Space group P1 (No. 1)
Symmetry-distinct sites (fractional):
Li  0.000  0.000  0.000
Li  0.001  0.004  0.503
Li  0.332  0.340  0.401
Li  0.668  0.672  0.896
Ti  0.341  0.341  0.004
Ti  0.677  0.674  0.506
Cr  0.176  0.179  0.730
Cr  0.351  0.826  0.229
Cr  0.832  0.348  0.220
Co  0.173  0.664  0.720
Co  0.660  0.177  0.720
Co  0.831  0.836  0.220
O  0.002  0.005  0.808
O  0.009  0.994  0.311
O  0.041  0.486  0.846
O  0.169  0.671  0.105
O  0.172  0.168  0.101
O  0.335  0.339  0.615
O  0.335  0.841  0.605
O  0.480  0.484  0.839
O  0.482  0.045  0.846
O  0.510  0.533  0.351
O  0.525  0.967  0.346
O  0.660  0.687  0.110
O  0.667  0.170  0.102
O  0.835  0.840  0.608
O  0.837  0.338  0.604
O  0.960  0.535  0.346


4.
Computed, not measured: an optimized crystal structure of Li3Fe2CoO6 at the PBE+U level of DFT.

## Properties
For the energy above the lowest structure with this stoichiometry, the calculation gives 0.000 eV per atom. For the formation energy, the calculation gives -1869 meV/atom. Its total moment is 20.04 Bohr magnetons per cell. The calculated density comes out at 4.40 g/cm³.

abc: 5.074 8.791 5.146
angles: 90.00 109.10 90.00
Space group C2/m (No. 12)
Symmetry-distinct sites (fractional):
Li  0.000  0.000  0.000
Li  0.000  0.340  0.000
Fe  0.000  0.167  0.500
Co  0.000  0.500  0.500
O  0.236  0.339  0.727
O  0.247  0.500  0.276